Record 1
! MgCr3O7 (meta-GGA r2SCAN, optimized geometry); values from VASP
&SYSTEM
  ibrav = 0, nat = 44, ntyp = 3
/
ATOMIC_SPECIES
Mg 24.30 Mg.upf
Cr 52.00 Cr.upf
O 16.00 O.upf
ATOMIC_POSITIONS angstrom
Mg 0.694 2.524 0.801
Mg 4.142 7.571 3.423
Mg 5.530 2.524 1.821
Mg 8.978 7.571 4.442
Cr 1.818 5.256 3.757
Cr 1.818 9.886 3.757
Cr 2.099 7.571 1.081
Cr 2.737 2.524 3.703
Cr 3.018 0.209 1.135
Cr 3.018 4.838 1.135
Cr 6.654 5.256 4.108
Cr 6.654 9.886 4.108
Cr 6.935 7.571 1.540
Cr 7.573 2.524 4.162
Cr 7.854 0.209 1.487
Cr 7.854 4.838 1.487
O 0.311 5.916 3.856
O 0.311 9.226 3.856
O 0.439 7.571 0.935
O 2.100 1.209 2.484
O 2.100 3.838 2.484
O 2.117 1.223 5.015
O 2.117 3.825 5.015
O 2.719 6.270 2.393
O 2.719 8.872 2.393
O 2.736 6.256 5.106
O 2.736 8.886 5.106
O 4.397 2.524 3.557
O 4.525 0.869 1.234
O 4.525 4.178 1.234
O 5.147 5.916 4.009
O 5.147 9.226 4.009
O 5.275 7.571 1.687
O 6.935 1.209 0.137
O 6.935 3.838 0.137
O 6.953 1.223 2.850
O 6.953 3.825 2.850
O 7.555 6.270 0.229
O 7.555 8.872 0.229
O 7.572 6.256 2.759
O 7.572 8.886 2.759
O 9.233 2.524 4.308
O 9.361 0.869 1.387
O 9.361 4.178 1.387
CELL_PARAMETERS angstrom
9.672 0.000 0.000
0.000 10.095 0.000
0.000 0.000 5.243
! - Total magnetization: 24.00 μB per cell
! - V: 11.6 Å³/atom
! - Formation enthalpy at 0 K: -2.10 eV/atom

---

Record 2
! RbSnAsO5 (meta-GGA r2SCAN, optimized geometry); values from VASP
&SYSTEM
  ibrav = 0, nat = 64, ntyp = 4
/
ATOMIC_SPECIES
Rb 85.47 Rb.upf
Sn 118.71 Sn.upf
As 74.92 As.upf
O 16.00 O.upf
ATOMIC_POSITIONS angstrom
Rb 1.529 1.281 0.000
Rb 1.661 5.311 8.195
Rb 5.165 1.902 2.695
Rb 5.297 4.690 5.500
Rb 8.354 2.129 0.000
Rb 8.486 4.918 8.195
Rb 11.990 1.508 2.695
Rb 12.122 5.539 5.500
Sn 1.711 3.402 4.799
Sn 3.414 1.730 7.563
Sn 3.411 5.139 2.064
Sn 5.115 6.812 10.299
Sn 8.536 0.008 4.799
Sn 10.240 1.680 7.563
Sn 10.237 5.089 2.064
Sn 11.940 3.417 10.299
As 0.034 4.553 2.031
As 2.405 0.013 4.825
As 4.420 3.423 10.325
As 6.792 1.143 7.531
As 6.859 5.676 2.031
As 9.231 3.396 4.825
As 11.246 6.806 10.325
As 13.617 2.266 7.531
O 0.141 3.328 6.215
O 0.177 3.562 3.409
O 1.325 1.288 7.797
O 1.360 5.577 1.786
O 1.398 1.336 4.506
O 1.399 5.501 5.132
O 3.018 3.198 6.287
O 3.135 3.730 3.449
O 3.327 3.181 9.053
O 3.391 3.609 0.666
O 3.434 0.199 6.166
O 3.499 6.591 3.553
O 3.690 0.321 8.949
O 3.807 6.607 0.787
O 5.427 2.091 10.632
O 5.427 4.746 10.006
O 5.465 2.167 7.286
O 5.501 4.697 2.297
O 6.648 0.153 8.909
O 6.684 6.737 0.715
O 6.967 0.082 6.215
O 7.003 6.667 3.409
O 8.150 2.122 7.797
O 8.186 4.652 1.786
O 8.224 2.073 4.506
O 8.224 4.728 5.132
O 9.844 0.212 6.287
O 9.961 6.499 3.449
O 10.152 0.228 9.053
O 10.217 6.620 0.666
O 10.260 3.210 6.166
O 10.324 3.638 3.553
O 10.516 3.089 8.949
O 10.633 3.622 0.787
O 12.252 1.319 10.632
O 12.253 5.483 10.006
O 12.291 1.242 7.286
O 12.326 5.531 2.297
O 13.474 3.257 8.909
O 13.510 3.492 0.715
CELL_PARAMETERS angstrom
13.651 0.000 0.000
0.000 6.819 0.000
0.000 0.000 11.000
! - Total magnetization: 0.00 μB per cell
! - V: 16.0 Å³/atom
! - Formation enthalpy at 0 K: -1.78 eV/atom

---

Record 3
! TiF3 (meta-GGA r2SCAN, optimized geometry); values from VASP
&SYSTEM
  ibrav = 0, nat = 4, ntyp = 2
/
ATOMIC_SPECIES
Ti 47.87 Ti.upf
F 19.00 F.upf
ATOMIC_POSITIONS angstrom
Ti 0.000 0.000 0.000
F -0.768 0.000 1.806
F 1.216 1.546 0.000
F 1.216 -1.546 0.000
CELL_PARAMETERS angstrom
2.432 -3.093 0.000
2.432 3.093 0.000
-1.537 0.000 3.612
! - Total magnetization: 1.00 μB per cell
! - V: 13.6 Å³/atom
! - Formation enthalpy at 0 K: -3.35 eV/atom

---

Record 4
! Sm5Co2 (meta-GGA r2SCAN, optimized geometry); values from VASP
&SYSTEM
  ibrav = 0, nat = 14, ntyp = 2
/
ATOMIC_SPECIES
Sm 150.36 Sm.upf
Co 58.93 Co.upf
ATOMIC_POSITIONS angstrom
Sm 7.671 2.795 5.171
Sm 3.283 0.431 2.214
Sm 2.950 -0.431 5.661
Sm 6.562 0.701 0.623
Sm 9.445 0.701 2.824
Sm 6.230 -0.701 4.071
Sm 9.113 -0.701 6.271
Sm 12.725 0.431 1.234
Sm 12.392 -0.431 4.681
Sm 8.004 -2.795 1.724
Co 6.063 1.827 2.956
Co 9.944 1.827 0.492
Co 5.731 -1.827 6.403
Co 9.612 -1.827 3.939
CELL_PARAMETERS angstrom
8.170 -3.229 0.000
8.170 3.229 0.000
-0.665 0.000 6.894
! - Total magnetization: 0.00 μB per cell
! - V: 26.0 Å³/atom
! - Formation enthalpy at 0 K: -0.02 eV/atom

---

Record 5
! KCeSiS4 (meta-GGA r2SCAN, optimized geometry); values from VASP
&SYSTEM
  ibrav = 0, nat = 14, ntyp = 4
/
ATOMIC_SPECIES
K 39.10 K.upf
Ce 140.12 Ce.upf
Si 28.09 Si.upf
S 32.06 S.upf
ATOMIC_POSITIONS angstrom
K 0.375 0.000 3.582
K 3.639 3.336 4.693
Ce -0.674 0.135 7.826
Ce 4.689 3.471 0.449
Si 1.402 3.253 1.519
Si 2.612 6.589 6.756
S -0.268 3.259 2.792
S -1.761 2.999 7.762
S 2.579 5.002 1.773
S 1.237 5.021 6.364
S 2.778 1.685 1.911
S 1.435 1.667 6.502
S 5.775 6.335 0.514
S 4.282 6.594 5.484
CELL_PARAMETERS angstrom
6.583 0.000 0.000
0.000 6.672 0.000
-2.569 0.000 8.275
! - Total magnetization: 2.00 μB per cell
! - V: 26.0 Å³/atom
! - Formation enthalpy at 0 K: -1.65 eV/atom

---

Record 6
! Hf4Co4Ge7 (meta-GGA r2SCAN, optimized geometry); values from VASP
&SYSTEM
  ibrav = 0, nat = 30, ntyp = 3
/
ATOMIC_SPECIES
Hf 178.49 Hf.upf
Co 58.93 Co.upf
Ge 72.64 Ge.upf
ATOMIC_POSITIONS angstrom
Hf 2.559 0.000 0.000
Hf 10.517 0.000 0.000
Hf 0.000 2.559 0.000
Hf 4.721 4.721 0.000
Hf 1.817 -1.817 2.581
Hf -1.817 1.817 2.581
Hf 1.817 1.817 2.581
Hf 0.000 10.517 0.000
Co 4.594 -1.943 1.290
Co 8.481 -1.943 1.290
Co 4.594 1.943 1.290
Co 8.481 1.943 1.290
Co -1.943 4.594 1.290
Co 1.943 4.594 1.290
Co -1.943 8.481 1.290
Co 1.943 8.481 1.290
Ge 5.306 0.000 0.000
Ge 7.769 0.000 0.000
Ge 2.709 2.709 0.000
Ge 3.828 -3.828 2.581
Ge 6.538 2.719 0.000
Ge 0.000 0.000 1.294
Ge 0.000 5.306 0.000
Ge 2.719 6.538 0.000
Ge 3.818 0.000 2.581
Ge 0.000 7.769 0.000
Ge 0.000 0.000 3.867
Ge 0.000 3.818 2.581
Ge -3.828 3.828 2.581
Ge 3.828 3.828 2.581
CELL_PARAMETERS angstrom
-6.538 6.538 2.581
6.538 -6.538 2.581
6.538 6.538 -2.581
! - Total magnetization: 0.00 μB per cell
! - V: 14.7 Å³/atom
! - Formation enthalpy at 0 K: -0.51 eV/atom

---

Record 7
! Cu2O3 (meta-GGA r2SCAN, optimized geometry); values from VASP
&SYSTEM
  ibrav = 0, nat = 10, ntyp = 2
/
ATOMIC_SPECIES
Cu 63.55 Cu.upf
O 16.00 O.upf
ATOMIC_POSITIONS angstrom
Cu 0.854 5.041 2.401
Cu 0.006 2.053 2.566
Cu 0.854 -2.053 0.165
Cu 1.703 -5.041 0.000
O -0.401 0.518 3.506
O 0.448 -0.518 1.105
O 1.302 2.468 3.863
O 2.285 1.490 1.284
O 1.437 -1.490 3.685
O 2.150 -2.468 1.462
CELL_PARAMETERS angstrom
1.703 -5.972 0.000
1.703 5.972 0.000
-1.696 0.000 4.802
! - Total magnetization: 0.00 μB per cell
! - V: 9.8 Å³/atom
! - Formation enthalpy at 0 K: -0.57 eV/atom

---

Record 8
! SiGe (meta-GGA r2SCAN, optimized geometry); values from VASP
&SYSTEM
  ibrav = 0, nat = 4, ntyp = 2
/
ATOMIC_SPECIES
Si 28.09 Si.upf
Ge 72.64 Ge.upf
ATOMIC_POSITIONS angstrom
Si 0.000 2.254 0.000
Si 1.952 1.127 3.225
Ge 0.000 2.254 4.037
Ge 1.952 1.127 0.811
CELL_PARAMETERS angstrom
3.904 0.000 0.000
-1.952 3.381 0.000
0.000 0.000 6.451
! - Total magnetization: 0.00 μB per cell
! - V: 21.3 Å³/atom
! - Formation enthalpy at 0 K: 0.03 eV/atom